# 1
Density functional theory data (PBE-GGA) for a relaxed SiO2 crystal.

Calculated values
ΔH_f (0 K): -2.7461 eV/atom

Cell and atoms, written as extended XYZ:
```
48
Lattice="11.2788 0.0000 0.0000 0.0000 11.2788 0.0000 0.0000 0.0000 5.1638" Properties=species:S:1:pos:R:3 pbc="T T T"
Si 4.2927 9.0996 1.9446
Si 2.1792 6.9861 3.2192
Si 2.1792 4.2927 1.9446
Si 9.9321 7.8186 4.5265
Si 3.4602 1.3467 0.6373
Si 9.0996 6.9861 1.9446
Si 1.3467 3.4602 4.5265
Si 6.9861 2.1792 1.9446
Si 7.8186 9.9321 0.6373
Si 1.3467 7.8186 0.6373
Si 4.2927 2.1792 3.2192
Si 9.9321 3.4602 0.6373
Si 3.4602 9.9321 4.5265
Si 6.9861 9.0996 3.2192
Si 9.0996 4.2927 3.2192
Si 7.8186 1.3467 4.5265
O 1.5011 4.6119 0.5093
O 10.2513 4.1383 2.0726
O 1.0275 7.1405 2.0726
O 2.8197 8.4591 3.8728
O 5.6394 3.0277 2.5819
O 9.7777 6.6669 0.5093
O 8.4591 8.4591 1.2910
O 5.6394 8.2511 2.5819
O 7.1405 10.2513 2.0726
O 4.1383 10.2513 3.0912
O 8.2511 5.6394 2.5819
O 0.0000 8.6671 0.0000
O 2.8197 8.4591 1.2910
O 9.7777 4.6119 4.6545
O 2.8197 2.8197 1.2910
O 1.5011 6.6669 4.6545
O 7.1405 1.0275 3.0912
O 3.0277 5.6394 2.5819
O 2.6117 0.0000 0.0000
O 4.1383 1.0275 2.0726
O 8.6671 0.0000 0.0000
O 8.4591 8.4591 3.8728
O 6.6669 1.5011 0.5093
O 10.2513 7.1405 3.0912
O 2.8197 2.8197 3.8728
O 0.0000 2.6117 0.0000
O 4.6119 1.5011 4.6545
O 8.4591 2.8197 1.2910
O 6.6669 9.7777 4.6545
O 1.0275 4.1383 3.0912
O 8.4591 2.8197 3.8728
O 4.6119 9.7777 0.5093
```

=====

# 2
Density functional theory data (PBE-GGA) for a relaxed TlFeBr4 crystal.

Calculated values
ΔH_f (0 K): -1.0278 eV/atom

Cell and atoms, written as extended XYZ:
```
24
Lattice="-5.6961 -4.2486 3.2091 5.0836 0.2710 9.3819 -5.2550 8.9998 2.5875" Properties=species:S:1:pos:R:3 pbc="T T T"
Tl -4.8063 -1.2352 5.6760
Tl -6.4511 3.9976 6.4161
Tl -1.0613 6.2574 9.5025
Tl 0.5836 1.0246 8.7624
Fe -0.1115 -2.9647 10.0854
Fe -2.4327 3.5240 5.0836
Fe -0.5010 -1.0129 2.5057
Fe -3.4348 1.4982 10.0950
Br -4.2513 2.1032 4.5499
Br -3.5172 8.6878 5.4198
Br -1.9203 4.8753 3.2068
Br -1.4338 -1.6443 4.5894
Br 0.0314 -1.0462 11.4508
Br -2.7189 0.2202 8.2457
Br -4.2550 4.1835 13.6223
Br -5.4050 2.7092 9.6293
Br -5.8989 6.0684 3.7277
Br -3.1486 4.8020 6.9328
Br -1.6125 0.8387 1.5562
Br -0.4625 2.3130 5.5493
Br -2.3504 -3.6656 9.7587
Br -3.9473 0.1469 11.9717
Br -4.4337 6.6665 10.5891
Br -1.6163 2.9190 10.6286
```

=====

# 3
Density functional theory data (PBE-GGA) for a relaxed NaMg14Ni crystal.

Calculated values
ΔH_f (0 K): 0.0569 eV/atom

Cell and atoms, written as extended XYZ:
```
16
Lattice="6.4242 0.0000 0.0000 -3.2121 5.5635 0.0000 0.0000 0.0000 9.8742" Properties=species:S:1:pos:R:3 pbc="T T T"
Na 0.0000 1.8545 6.1714
Mg -1.6495 4.6111 1.2343
Mg -1.5659 4.6594 6.1714
Mg 3.2121 1.9047 1.2343
Mg 3.2121 1.8081 6.1714
Mg 1.6496 4.6111 1.2343
Mg 1.5659 4.6594 6.1714
Mg 1.5460 0.9619 3.5217
Mg 1.5460 0.9619 8.8210
Mg 0.0000 3.6396 3.5217
Mg 0.0000 3.6396 8.8210
Mg 4.8782 0.9619 3.5217
Mg 4.8782 0.9619 8.8210
Mg 3.2121 3.7090 3.7556
Mg 3.2121 3.7090 8.5872
Ni 0.0000 1.8545 1.2343
```

=====

# 4
Density functional theory data (PBE-GGA) for a relaxed Pr3Ho crystal.

Calculated values
ΔH_f (0 K): 0.0299 eV/atom

Cell and atoms, written as extended XYZ:
```
8
Lattice="-6.8558 2.3474 -1.3204 1.4425 -7.2198 0.2197 -1.1563 -0.0511 5.9131" Properties=species:S:1:pos:R:3 pbc="T T T"
Pr -0.9564 -2.0449 1.3302
Pr -3.6405 -4.4609 0.7845
Pr -0.2411 -5.6248 1.4392
Pr -5.6132 -2.8786 3.4822
Pr -2.9291 -0.4626 4.0279
Pr -6.3285 0.7013 3.3732
Ho -2.1908 -4.0691 4.1411
Ho -4.3788 -0.8544 0.6712
```

=====

Copy entry 2 word for word.
Density functional theory data (PBE-GGA) for a relaxed TlFeBr4 crystal.

Calculated values
ΔH_f (0 K): -1.0278 eV/atom

Cell and atoms, written as extended XYZ:
```
24
Lattice="-5.6961 -4.2486 3.2091 5.0836 0.2710 9.3819 -5.2550 8.9998 2.5875" Properties=species:S:1:pos:R:3 pbc="T T T"
Tl -4.8063 -1.2352 5.6760
Tl -6.4511 3.9976 6.4161
Tl -1.0613 6.2574 9.5025
Tl 0.5836 1.0246 8.7624
Fe -0.1115 -2.9647 10.0854
Fe -2.4327 3.5240 5.0836
Fe -0.5010 -1.0129 2.5057
Fe -3.4348 1.4982 10.0950
Br -4.2513 2.1032 4.5499
Br -3.5172 8.6878 5.4198
Br -1.9203 4.8753 3.2068
Br -1.4338 -1.6443 4.5894
Br 0.0314 -1.0462 11.4508
Br -2.7189 0.2202 8.2457
Br -4.2550 4.1835 13.6223
Br -5.4050 2.7092 9.6293
Br -5.8989 6.0684 3.7277
Br -3.1486 4.8020 6.9328
Br -1.6125 0.8387 1.5562
Br -0.4625 2.3130 5.5493
Br -2.3504 -3.6656 9.7587
Br -3.9473 0.1469 11.9717
Br -4.4337 6.6665 10.5891
Br -1.6163 2.9190 10.6286
```

=====

Copy entry 1 word for word.
Density functional theory data (PBE-GGA) for a relaxed SiO2 crystal.

Calculated values
ΔH_f (0 K): -2.7461 eV/atom

Cell and atoms, written as extended XYZ:
```
48
Lattice="11.2788 0.0000 0.0000 0.0000 11.2788 0.0000 0.0000 0.0000 5.1638" Properties=species:S:1:pos:R:3 pbc="T T T"
Si 4.2927 9.0996 1.9446
Si 2.1792 6.9861 3.2192
Si 2.1792 4.2927 1.9446
Si 9.9321 7.8186 4.5265
Si 3.4602 1.3467 0.6373
Si 9.0996 6.9861 1.9446
Si 1.3467 3.4602 4.5265
Si 6.9861 2.1792 1.9446
Si 7.8186 9.9321 0.6373
Si 1.3467 7.8186 0.6373
Si 4.2927 2.1792 3.2192
Si 9.9321 3.4602 0.6373
Si 3.4602 9.9321 4.5265
Si 6.9861 9.0996 3.2192
Si 9.0996 4.2927 3.2192
Si 7.8186 1.3467 4.5265
O 1.5011 4.6119 0.5093
O 10.2513 4.1383 2.0726
O 1.0275 7.1405 2.0726
O 2.8197 8.4591 3.8728
O 5.6394 3.0277 2.5819
O 9.7777 6.6669 0.5093
O 8.4591 8.4591 1.2910
O 5.6394 8.2511 2.5819
O 7.1405 10.2513 2.0726
O 4.1383 10.2513 3.0912
O 8.2511 5.6394 2.5819
O 0.0000 8.6671 0.0000
O 2.8197 8.4591 1.2910
O 9.7777 4.6119 4.6545
O 2.8197 2.8197 1.2910
O 1.5011 6.6669 4.6545
O 7.1405 1.0275 3.0912
O 3.0277 5.6394 2.5819
O 2.6117 0.0000 0.0000
O 4.1383 1.0275 2.0726
O 8.6671 0.0000 0.0000
O 8.4591 8.4591 3.8728
O 6.6669 1.5011 0.5093
O 10.2513 7.1405 3.0912
O 2.8197 2.8197 3.8728
O 0.0000 2.6117 0.0000
O 4.6119 1.5011 4.6545
O 8.4591 2.8197 1.2910
O 6.6669 9.7777 4.6545
O 1.0275 4.1383 3.0912
O 8.4591 2.8197 3.8728
O 4.6119 9.7777 0.5093
```